[1]
Ti2FeO5: optimized geometry, GGA+U.

Cell: 11.4166 5.3060 10.1600 Å, 90.00 90.00 111.15°
Last column: nearest neighbours and their distance in Å.
Sites, in units of the cell vectors:
Ti1 0.0421 0.2686 0.5601  4 O 1.83-1.98
Ti2 0.0449 0.2702 0.9387  4 O 1.81-1.96
Ti3 0.2678 0.6166 0.7509  4 O 1.90-1.97
Ti4 0.2921 0.7311 0.0633  5 O 1.85-2.07
Ti5 0.3746 0.2689 0.5633  5 O 1.85-2.07
Ti6 0.3988 0.3834 0.2509  4 O 1.90-1.97
Ti7 0.6246 0.7314 0.0601  4 O 1.83-1.98
Ti8 0.6217 0.7298 0.4387  4 O 1.81-1.96
Ti9 0.7095 0.2680 0.5682  5 O 1.85-2.07
Ti10 0.7117 0.2743 0.9343  5 O 1.86-2.03
Ti11 0.9571 0.7320 0.0682  5 O 1.85-2.07
Ti12 0.9549 0.7257 0.4343  5 O 1.86-2.03
Fe1 0.0637 0.3896 0.2513  6 O 2.03-2.23
Fe2 0.2868 0.7255 0.4306  5 O 2.00-2.23
Fe3 0.3799 0.2745 0.9306  5 O 2.00-2.23
Fe4 0.6029 0.6104 0.7513  6 O 2.03-2.23
Fe5 0.7298 0.3778 0.2503  5 O 2.02-2.24
Fe6 0.9368 0.6222 0.7503  5 O 2.02-2.24
O1 0.0170 0.0956 0.1114  2 Ti 1.85-1.96, 1 Fe 2.03
O2 0.0204 0.0889 0.3878  2 Ti 1.86-1.97, 1 Fe 2.04
O3 0.0832 0.4561 0.7462  3 Ti 1.97-2.16, 1 Fe 2.15
O4 0.0937 0.6172 0.4372  1 Ti 1.87, 1 Fe 2.07
O5 0.1093 0.6425 0.0691  2 Ti 1.96-1.97
O6 0.2268 0.3763 0.5690  3 Ti 1.97-2.20
O7 0.2227 0.3856 0.9293  1 Ti 1.90, 1 Fe 2.08
O8 0.2663 0.5207 0.2389  2 Ti 1.91-2.07
O9 0.3143 0.9208 0.6296  2 Ti 1.85-1.95
O10 0.3174 0.8811 0.8863  2 Ti 1.90-1.95, 1 Fe 2.00
O11 0.3524 0.0792 0.1296  2 Ti 1.85-1.95
O12 0.3492 0.1189 0.3863  2 Ti 1.90-1.95, 1 Fe 2.00
O13 0.4004 0.4793 0.7389  2 Ti 1.91-2.07
O14 0.4440 0.6144 0.4293  1 Ti 1.90, 1 Fe 2.08
O15 0.4398 0.6237 0.0690  3 Ti 1.97-2.20
O16 0.5573 0.3575 0.5691  2 Ti 1.96-1.97
O17 0.5730 0.3828 0.9372  1 Ti 1.87, 1 Fe 2.07
O18 0.5835 0.5439 0.2462  3 Ti 1.97-2.16, 1 Fe 2.15
O19 0.6496 0.9044 0.6114  2 Ti 1.85-1.96, 1 Fe 2.03
O20 0.6462 0.9111 0.8878  2 Ti 1.86-1.97, 1 Fe 2.04
O21 0.6897 0.0860 0.1113  2 Ti 1.83-2.03, 1 Fe 2.02
O22 0.6820 0.0800 0.3866  1 Ti 1.81, 1 Fe 2.02
O23 0.7393 0.4138 0.7479  2 Ti 1.96-2.02, 2 Fe 2.12-2.16
O24 0.7731 0.6320 0.0624  2 Ti 1.95-1.97
O25 0.7657 0.6108 0.4395  3 Ti 1.96-2.14
O26 0.8935 0.3680 0.5624  2 Ti 1.95-1.97
O27 0.9009 0.3892 0.9395  3 Ti 1.96-2.14
O28 0.9273 0.5862 0.2479  2 Ti 1.96-2.02, 2 Fe 2.12-2.16
O29 0.9770 0.9140 0.6113  2 Ti 1.83-2.03, 1 Fe 2.02
O30 0.9847 0.9200 0.8866  1 Ti 1.81, 1 Fe 2.02

[2]
Ti3Fe5O12: optimized geometry, GGA+U.

Cell: 5.5762 7.5534 10.3385 Å, 89.87 89.91 84.41°
Last column: nearest neighbours and their distance in Å.
Sites, in units of the cell vectors:
Ti1 0.7122 0.3565 0.0006  3 O 1.88-1.89
Ti2 0.2971 0.1415 0.5036  4 O 1.85-2.06
Ti3 0.7036 0.8541 0.0051  4 O 1.85-1.98
Ti4 0.1998 0.3589 0.7469  4 O 1.83-2.02
Ti5 0.7058 0.8511 0.4993  4 O 1.87-2.06
Ti6 0.2177 0.3450 0.2518  5 O 1.86-2.06
Fe1 0.2899 0.1449 0.9985  6 O 1.97-2.15
Fe2 0.7899 0.6468 0.7490  6 O 1.97-2.16
Fe3 0.2099 0.8507 0.7506  6 O 1.98-2.18
Fe4 0.2868 0.6459 0.0024  6 O 2.07-2.27
Fe5 0.7152 0.3605 0.5019  6 O 2.06-2.27
Fe6 0.7786 0.1406 0.7533  6 O 2.07-2.31
Fe7 0.7947 0.6515 0.2502  6 O 1.97-2.15
Fe8 0.2121 0.8547 0.2474  6 O 2.06-2.25
Fe9 0.2849 0.6439 0.4954  6 O 2.12-2.24
Fe10 0.7940 0.1448 0.2515  6 O 2.08-2.25
O1 0.6666 0.5838 0.9245  1 Ti 1.88, 1 Fe 2.01
O2 0.9902 0.2574 0.9129  1 Ti 1.89, 1 Fe 2.01
O3 0.1569 0.5909 0.8149  1 Ti 1.88
O4 0.1650 0.0958 0.6699  1 Ti 1.91, 1 Fe 2.02
O5 0.3545 0.9049 0.9186  3 Fe 1.98-2.20, 1 Ti 2.14
O6 0.5021 0.7500 0.6547  2 Fe 1.97-1.99, 1 Ti 2.15
O7 0.4693 0.2653 0.8519  1 Ti 1.93, 2 Fe 2.07-2.14
O8 0.6484 0.0872 0.5652  2 Ti 1.91-2.06, 1 Fe 2.13
O9 0.6494 0.6096 0.4196  3 Fe 1.97-2.17, 1 Ti 2.06
O10 0.8514 0.8911 0.8359  1 Ti 1.96, 3 Fe 2.07-2.18
O11 0.8563 0.3990 0.6825  3 Fe 2.00-2.17, 1 Ti 2.02
O12 0.0321 0.2458 0.4042  2 Ti 1.91-2.06
O13 0.9812 0.7607 0.5988  1 Ti 1.92, 2 Fe 2.11-2.12
O14 0.1498 0.5822 0.3108  1 Ti 1.90, 2 Fe 2.09-2.12
O15 0.1573 0.1079 0.1718  3 Fe 1.97-2.18, 1 Ti 2.03
O16 0.3407 0.3910 0.5893  1 Ti 1.83
O17 0.3493 0.9171 0.4316  1 Ti 1.85
O18 0.5182 0.7547 0.1471  3 Fe 1.97-2.19, 1 Ti 1.98
O19 0.4883 0.2623 0.3470  1 Ti 1.86
O20 0.6550 0.0926 0.0617  1 Ti 1.89
O21 0.8442 0.8959 0.3387  1 Ti 1.87, 1 Fe 2.08
O22 0.8410 0.4071 0.1626  1 Ti 1.88, 1 Fe 2.05
O23 0.9788 0.7644 0.0918  1 Ti 1.85
O24 0.3620 0.3919 0.0864  2 Ti 1.93-2.14, 2 Fe 2.11-2.15

[3]
Ti3Fe5O12: optimized geometry, GGA+U.

Cell: 5.1568 5.5443 7.5944 Å, 95.32 90.23 90.03°
Last column: nearest neighbours and their distance in Å.
Sites, in units of the cell vectors:
Ti1 0.0018 0.2873 0.3578  3 O 1.84-1.88
Ti2 0.9950 0.3041 0.8615  4 O 1.85-2.04
Ti3 0.5059 0.7829 0.3492  4 O 1.86-2.04
Fe1 0.9995 0.7143 0.1390  6 O 2.07-2.25
Fe2 0.5008 0.2056 0.6474  6 O 2.00-2.09
Fe3 0.5005 0.7910 0.8538  5 O 1.96-2.18
Fe4 0.9986 0.7168 0.6452  6 O 2.09-2.27
Fe5 0.4990 0.2090 0.1424  6 O 2.09-2.27
O1 0.1504 0.3335 0.5834  1 Ti 1.87, 1 Fe 2.02
O2 0.1898 0.0228 0.2672  1 Ti 1.84
O3 0.3759 0.8497 0.5843  1 Ti 1.91, 1 Fe 2.09
O4 0.6272 0.8392 0.1012  3 Fe 1.98-2.15, 1 Ti 2.04
O5 0.1662 0.6377 0.8914  3 Fe 1.96-2.14, 1 Ti 2.04
O6 0.6915 0.4959 0.7583  3 Fe 1.99-2.22, 1 Ti 2.08
O7 0.3053 0.5170 0.2678  1 Ti 1.86
O8 0.8724 0.3296 0.0909  1 Ti 1.85
O9 0.3192 0.1475 0.8858  1 Ti 1.90, 1 Fe 2.09
O10 0.6790 0.1514 0.4088  1 Ti 1.88, 1 Fe 2.03
O11 0.7999 0.0234 0.7658  1 Ti 1.93, 3 Fe 2.09-2.16
O12 0.8218 0.6416 0.3988  1 Ti 1.86

[4]
Ti2Fe4O9: optimized geometry, GGA+U.

Cell: 5.5185 5.5185 12.9058 Å, 86.88 86.88 55.77°
Last column: nearest neighbours and their distance in Å.
Sites, in units of the cell vectors:
Ti1 0.1973 0.1879 0.5449  3 O 1.83-1.90
Ti2 0.1879 0.1973 0.0449  3 O 1.83-1.90
Ti3 0.8557 0.8655 0.7216  4 O 1.84-2.03
Ti4 0.8655 0.8557 0.2216  4 O 1.84-2.03
Fe1 0.1362 0.1463 0.7829  6 O 2.10-2.23
Fe2 0.4721 0.4721 0.6178  6 O 2.01-2.12
Fe3 0.1463 0.1362 0.2829  6 O 2.10-2.23
Fe4 0.4721 0.4721 0.1178  6 O 2.01-2.12
Fe5 0.5279 0.5315 0.8811  6 O 1.97-2.20
Fe6 0.8117 0.8111 0.9535  6 O 2.08-2.26
Fe7 0.5315 0.5279 0.3811  6 O 1.97-2.20
Fe8 0.8111 0.8117 0.4535  6 O 2.08-2.26
O1 0.7874 0.1125 0.3432  3 Fe 1.97-2.16, 1 Ti 2.03
O2 0.6305 0.0313 0.5966  2 Ti 1.94-2.17, 2 Fe 2.10-2.14
O3 0.6847 0.3030 0.7514  3 Fe 2.00-2.18, 1 Ti 2.09
O4 0.5074 0.2571 0.9828  3 Fe 2.00-2.10, 1 Ti 2.08
O5 0.4660 0.1109 0.1798  1 Ti 1.92, 2 Fe 2.10-2.12
O6 0.1109 0.4660 0.6798  1 Ti 1.92, 2 Fe 2.10-2.12
O7 0.2571 0.5074 0.4828  3 Fe 2.00-2.10, 1 Ti 2.08
O8 0.9070 0.2035 0.1387  1 Ti 1.90, 1 Fe 2.01
O9 0.9684 0.3511 0.9282  1 Ti 1.83
O10 0.3030 0.6847 0.2514  3 Fe 2.00-2.18, 1 Ti 2.09
O11 0.0313 0.6305 0.0966  2 Ti 1.94-2.17, 2 Fe 2.10-2.14
O12 0.1125 0.7874 0.8432  3 Fe 1.97-2.16, 1 Ti 2.03
O13 0.7909 0.4354 0.5196  1 Ti 1.89, 1 Fe 2.03
O14 0.8482 0.5894 0.3080  1 Ti 1.84
O15 0.5894 0.8482 0.8080  1 Ti 1.84
O16 0.4354 0.7909 0.0196  1 Ti 1.89, 1 Fe 2.03
O17 0.3511 0.9684 0.4282  1 Ti 1.83
O18 0.2035 0.9070 0.6387  1 Ti 1.90, 1 Fe 2.01

| no. | formation energy (eV/atom) | size of the total moment (μB per formula unit) |
| --- | --- | --- |
| 1 | -3.013 | 4.0 |
| 2 | -2.434 | 22.0 |
| 3 | -2.428 | 22.0 |
| 4 | -2.342 | 18.0 |